First-principles (PBE with a Hubbard U) data for an optimized crystal structure of Tl2Mo3SeO12, as listed in the Materials Project.

Unit cell a=7.379 b=7.379 c=12.189 alpha=90.00 beta=90.00 gamma=120.00
Sites, in units of the cell vectors:
Tl 0.333 0.667 0.158
Tl 0.667 0.333 0.658
Tl 0.667 0.333 0.267
Tl 0.333 0.667 0.767
Mo 0.339 0.140 0.934
Mo 0.801 0.661 0.934
Mo 0.860 0.199 0.934
Mo 0.199 0.860 0.434
Mo 0.140 0.339 0.434
Mo 0.661 0.801 0.434
Se 0.000 0.000 0.201
Se 0.000 0.000 0.701
O 0.408 0.201 0.071
O 0.793 0.592 0.071
O 0.799 0.207 0.071
O 0.207 0.799 0.571
O 0.201 0.408 0.571
O 0.592 0.793 0.571
O 0.247 0.126 0.761
O 0.879 0.753 0.761
O 0.874 0.121 0.761
O 0.121 0.874 0.261
O 0.126 0.247 0.261
O 0.753 0.879 0.261
O 0.547 0.087 0.885
O 0.539 0.453 0.885
O 0.913 0.461 0.885
O 0.461 0.913 0.385
O 0.087 0.547 0.385
O 0.453 0.539 0.385
O 0.122 0.871 0.948
O 0.749 0.878 0.948
O 0.129 0.251 0.948
O 0.251 0.129 0.448
O 0.871 0.122 0.448
O 0.878 0.749 0.448

- VASP energy (eV per atom) = -6.30
- crystal system = trigonal
- calculated formation energy (eV/atom) = -1.727
- theoretical density (Mg/m³) = 5.59